Density functional theory data (PBE+U) for crystalline LiMn2B2O6 at its relaxed geometry.

## Properties
Crystal system = triclinic
Relative energy among the computed polymorphs = 0.002 eV/atom
E_tot = -7.505 eV per atom
Formation energy from the elements = -2.43 eV/atom
Magnetization = 9.0 μB/f.u.

Geometry as extended XYZ:
```
44
Lattice="-5.778 0.008 -0.347 -1.927 -8.921 -0.117 -2.131 -1.040 9.501" Properties=species:S:1:pos:R:3 pbc="T T T"
O -2.618 -0.483 3.676
O -4.312 -3.016 7.535
O -6.141 -7.186 5.109
O -1.831 -2.012 5.348
O -3.872 -7.293 6.624
O -1.251 -0.145 0.842
O -7.837 -3.283 8.679
O -1.953 -3.252 1.574
O -5.336 -5.166 7.832
O -5.788 -6.752 1.563
O -3.838 -2.507 4.197
O -5.904 -3.804 5.928
O -7.695 -6.729 7.594
O -5.998 -8.655 8.414
O -4.669 -4.688 1.134
O -6.637 -1.222 8.238
O -3.782 -6.231 2.761
O -6.048 -2.516 2.720
O -3.743 -1.721 0.425
O -2.226 -6.892 0.492
O -7.022 -4.718 2.986
O -7.057 -9.373 5.366
O -2.648 -5.282 6.163
O -7.773 -7.971 3.515
Li -6.744 -5.284 4.802
Li -0.924 -0.519 2.708
Li -7.050 -5.151 8.885
Li -4.911 -1.086 7.295
B -3.091 -7.888 0.046
B -2.830 -6.391 6.904
B -6.793 -2.347 8.961
B -2.777 -1.601 4.400
B -6.991 -8.206 4.634
B -4.743 -5.848 1.816
B -6.923 -3.531 2.302
B -5.171 -4.038 7.071
Mn -2.282 -3.374 6.822
Mn -5.684 -2.138 4.653
Mn -4.093 -7.565 4.408
Mn -1.859 -6.329 2.353
Mn -1.824 -1.896 0.054
Mn -4.007 -3.003 2.092
Mn -8.140 -8.301 8.973
Mn -5.723 -6.994 7.161
```